A plane-wave DFT calculation with PBE-GGA was carried out for a geometry-optimized SbSeO5 structure.

a b c (Å): 5.259 9.285 9.888
angles (deg): 90.00 90.00 90.00
Element x y z (fractional)
Sb: 0.621 0.340 0.596
Sb: 0.121 0.160 0.404
Sb: 0.879 0.660 0.096
Sb: 0.379 0.840 0.904
Se: 0.895 0.023 0.710
Se: 0.395 0.477 0.290
Se: 0.605 0.977 0.210
Se: 0.105 0.523 0.790
O: 0.317 0.394 0.747
O: 0.221 0.693 0.759
O: 0.834 0.516 0.698
O: 0.955 0.004 0.540
O: 0.416 0.179 0.526
O: 0.916 0.321 0.474
O: 0.455 0.496 0.460
O: 0.334 0.984 0.302
O: 0.721 0.807 0.241
O: 0.817 0.106 0.253
O: 0.183 0.606 0.247
O: 0.279 0.307 0.259
O: 0.666 0.484 0.198
O: 0.545 0.996 0.040
O: 0.084 0.821 0.026
O: 0.584 0.679 0.974
O: 0.045 0.504 0.960
O: 0.166 0.016 0.802
O: 0.779 0.193 0.741
O: 0.683 0.894 0.753

## Properties
Energy of formation   -1300 meV per atom
Calculated volume   17.2 Å³ per atom
Total energy after the MP2020 corrections   -5.92 eV per atom
Space-group type   P2_12_12_1 (19)



A plane-wave DFT calculation with PBE-GGA was carried out for a geometry-optimized ScBiO3 structure.

a b c (Å): 4.076 4.076 4.076
angles (deg): 90.00 90.00 90.00
Element x y z (fractional)
Sc: 0.000 0.000 0.000
Bi: 0.500 0.500 0.500
O: 0.500 0.000 0.000
O: 0.000 0.000 0.500
O: 0.000 0.500 0.000

## Properties
Energy of formation   -2448 meV per atom
Calculated volume   13.5 Å³ per atom
Total energy after the MP2020 corrections   -7.46 eV per atom
Space-group type   Pm-3m (221)



A plane-wave DFT calculation with PBE-GGA was carried out for a geometry-optimized Na14Mg4Ti4Si7S5O48 structure.

a b c (Å): 18.056 9.035 21.994
angles (deg): 90.08 89.59 119.99
Element x y z (fractional)
Na: 0.806 0.986 0.257
Na: 0.182 0.353 0.256
Na: 0.690 0.366 0.255
Na: 0.992 0.637 0.247
Na: 0.498 0.636 0.252
Na: 0.308 0.627 0.744
Na: 0.998 0.357 0.747
Na: 0.495 0.352 0.741
Na: 0.189 0.014 0.750
Na: 0.684 0.012 0.752
Na: 0.150 0.330 0.588
Na: 0.659 0.337 0.577
Na: 0.338 0.990 0.581
Na: 0.838 0.987 0.578
Na: 0.158 0.985 0.083
Na: 0.650 0.969 0.091
Na: 0.338 0.690 0.085
Na: 0.836 0.691 0.084
Na: 0.481 0.673 0.924
Na: 0.973 0.665 0.922
Na: 0.355 0.042 0.915
Na: 0.852 0.036 0.909
Na: 0.167 0.287 0.914
Na: 0.670 0.287 0.909
Na: 0.477 0.287 0.423
Na: 0.973 0.273 0.425
Na: 0.169 0.057 0.409
Na: 0.674 0.039 0.412
Na: 0.354 0.670 0.410
Na: 0.852 0.675 0.417
Na: 0.993 0.991 0.497
Na: 0.504 0.996 0.500
Na: 0.000 0.006 0.003
Na: 0.501 0.008 0.003
Na: 0.326 0.320 0.823
Na: 0.825 0.337 0.829
Na: 0.327 0.315 0.333
Na: 0.824 0.316 0.330
Na: 0.165 0.671 0.172
Na: 0.662 0.658 0.173
Na: 0.161 0.663 0.671
Na: 0.663 0.656 0.665
Mg: 0.000 0.001 0.353
Mg: 0.498 0.993 0.348
Mg: 0.996 0.000 0.847
Mg: 0.507 0.008 0.848
Mg: 0.337 0.331 0.684
Mg: 0.837 0.340 0.186
Mg: 0.334 0.332 0.994
Mg: 0.832 0.339 0.979
Mg: 0.333 0.327 0.479
Mg: 0.831 0.323 0.488
Mg: 0.671 0.682 0.311
Mg: 0.167 0.662 0.809
Ti: 0.992 0.008 0.650
Ti: 0.506 0.033 0.650
Ti: 0.005 0.981 0.151
Ti: 0.492 0.978 0.151
Ti: 0.828 0.327 0.679
Ti: 0.327 0.328 0.179
Ti: 0.167 0.668 0.031
Ti: 0.664 0.675 0.017
Ti: 0.164 0.655 0.517
Ti: 0.677 0.682 0.527
Ti: 0.182 0.686 0.313
Ti: 0.682 0.680 0.811
Si: 0.151 0.000 0.254
Si: 0.647 0.003 0.251
Si: 0.352 0.694 0.253
Si: 0.852 0.702 0.253
Si: 0.147 0.289 0.752
Si: 0.653 0.306 0.753
Si: 0.353 0.999 0.754
Si: 0.853 0.011 0.753
Si: 0.482 0.342 0.581
Si: 0.984 0.344 0.584
Si: 0.680 0.034 0.582
Si: 0.842 0.632 0.578
Si: 0.483 0.625 0.083
Si: 0.978 0.622 0.082
Si: 0.341 0.047 0.078
Si: 0.180 0.326 0.081
Si: 0.815 0.670 0.919
Si: 0.665 0.959 0.914
Si: 0.316 0.962 0.420
Si: 0.813 0.967 0.415
Si: 0.167 0.375 0.414
S: 0.000 0.288 0.251
S: 0.496 0.285 0.251
S: 0.997 0.707 0.752
S: 0.500 0.710 0.752
S: 0.184 0.034 0.583
S: 0.333 0.630 0.582
S: 0.833 0.039 0.081
S: 0.684 0.334 0.082
S: 0.311 0.662 0.917
S: 0.026 0.385 0.919
S: 0.522 0.382 0.916
S: 0.168 0.955 0.916
S: 0.666 0.377 0.415
S: 0.024 0.664 0.415
S: 0.524 0.666 0.418
O: 0.114 0.047 0.313
O: 0.609 0.045 0.311
O: 0.408 0.774 0.312
O: 0.912 0.794 0.311
O: 0.484 0.191 0.308
O: 0.992 0.197 0.308
O: 0.110 0.174 0.814
O: 0.617 0.187 0.813
O: 0.490 0.783 0.810
O: 0.987 0.779 0.810
O: 0.409 0.022 0.815
O: 0.908 0.041 0.813
O: 0.407 0.978 0.695
O: 0.901 0.987 0.693
O: 0.083 0.173 0.695
O: 0.587 0.211 0.695
O: 0.007 0.818 0.699
O: 0.514 0.825 0.701
O: 0.399 0.813 0.192
O: 0.907 0.832 0.192
O: 0.014 0.200 0.198
O: 0.504 0.193 0.198
O: 0.087 0.966 0.194
O: 0.582 0.993 0.193
O: 0.444 0.371 0.644
O: 0.934 0.360 0.645
O: 0.237 0.115 0.637
O: 0.747 0.130 0.640
O: 0.321 0.527 0.637
O: 0.822 0.492 0.633
O: 0.431 0.504 0.141
O: 0.942 0.516 0.144
O: 0.318 0.145 0.132
O: 0.821 0.117 0.135
O: 0.247 0.366 0.138
O: 0.737 0.359 0.136
O: 0.218 0.285 0.020
O: 0.722 0.304 0.026
O: 0.426 0.559 0.022
O: 0.920 0.549 0.022
O: 0.352 0.140 0.014
O: 0.839 0.134 0.025
O: 0.223 0.141 0.528
O: 0.713 0.152 0.523
O: 0.338 0.543 0.527
O: 0.852 0.557 0.515
O: 0.419 0.289 0.523
O: 0.926 0.296 0.524
O: 0.267 0.677 0.973
O: 0.759 0.682 0.977
O: 0.081 0.483 0.971
O: 0.574 0.474 0.970
O: 0.165 0.858 0.972
O: 0.654 0.834 0.975
O: 0.260 0.837 0.478
O: 0.758 0.841 0.476
O: 0.156 0.478 0.475
O: 0.659 0.465 0.471
O: 0.077 0.676 0.470
O: 0.578 0.678 0.470
O: 0.067 0.649 0.359
O: 0.558 0.639 0.360
O: 0.255 0.856 0.360
O: 0.754 0.880 0.356
O: 0.174 0.497 0.356
O: 0.668 0.473 0.360
O: 0.063 0.482 0.862
O: 0.564 0.478 0.860
O: 0.173 0.865 0.861
O: 0.672 0.849 0.856
O: 0.259 0.646 0.862
O: 0.755 0.656 0.859
O: 0.021 0.825 0.416
O: 0.519 0.827 0.417
O: 0.408 0.974 0.418
O: 0.905 0.971 0.418
O: 0.082 0.190 0.417
O: 0.587 0.203 0.416
O: 0.021 0.216 0.919
O: 0.514 0.211 0.917
O: 0.088 0.967 0.918
O: 0.578 0.971 0.916
O: 0.397 0.818 0.915
O: 0.908 0.843 0.918
O: 0.493 0.164 0.590
O: 0.999 0.175 0.594
O: 0.097 0.013 0.589
O: 0.585 0.007 0.599
O: 0.408 0.805 0.585
O: 0.921 0.827 0.593
O: 0.498 0.823 0.092
O: 0.993 0.822 0.089
O: 0.418 0.008 0.091
O: 0.907 0.010 0.084
O: 0.087 0.162 0.095
O: 0.597 0.182 0.088
O: 0.344 0.169 0.746
O: 0.840 0.177 0.745
O: 0.245 0.326 0.741
O: 0.746 0.326 0.739
O: 0.421 0.540 0.746
O: 0.923 0.531 0.746
O: 0.340 0.503 0.243
O: 0.843 0.514 0.246
O: 0.421 0.312 0.244
O: 0.922 0.299 0.244
O: 0.244 0.167 0.238
O: 0.744 0.160 0.239
O: 0.320 0.507 0.919
O: 0.819 0.495 0.917
O: 0.436 0.367 0.919
O: 0.939 0.360 0.925
O: 0.245 0.129 0.916
O: 0.753 0.140 0.918
O: 0.319 0.144 0.417
O: 0.824 0.158 0.421
O: 0.256 0.372 0.418
O: 0.744 0.363 0.415
O: 0.436 0.518 0.424
O: 0.939 0.513 0.418
O: 0.177 0.507 0.077
O: 0.677 0.492 0.077
O: 0.080 0.666 0.073
O: 0.581 0.652 0.079
O: 0.251 0.849 0.076
O: 0.752 0.860 0.078
O: 0.177 0.863 0.577
O: 0.677 0.848 0.580
O: 0.253 0.648 0.580
O: 0.753 0.651 0.579
O: 0.083 0.512 0.580
O: 0.582 0.495 0.571
O: 0.151 0.817 0.257
O: 0.643 0.818 0.248
O: 0.255 0.673 0.253
O: 0.758 0.684 0.249
O: 0.076 0.465 0.252
O: 0.575 0.456 0.252
O: 0.146 0.470 0.751
O: 0.651 0.487 0.757
O: 0.077 0.694 0.754
O: 0.576 0.684 0.754
O: 0.258 0.828 0.751
O: 0.755 0.837 0.753

## Properties
Energy of formation   -2688 meV per atom
Calculated volume   12.6 Å³ per atom
Total energy after the MP2020 corrections   -6.99 eV per atom
Space-group type   P1 (1)



| no. | total energy (eV/atom) |
| --- | --- |
| 1 | -5.43 |
| 2 | -7.05 |
| 3 | -6.59 |